A plane-wave DFT calculation with PBE+U was carried out for a geometry-optimized Ca3SmMn4O12 structure.

Summary:
The volume comes out at 224.3 Å³ per cell. The spin magnetization is 0.65 μB/atom. The value obtained for the energy of formation is -52.8 eV/f.u.

Cell lengths 7.667, 5.361, 5.457 Å; angles 89.86, 90.00, 90.00 degrees
Sites, in units of the cell vectors:
O1 0.289 0.296 0.295
O2 0.296 0.211 0.788
O3 0.216 0.699 0.701
O4 0.500 0.924 0.481
O5 0.704 0.211 0.788
O6 0.500 0.574 0.986
O7 0.784 0.699 0.701
O8 0.211 0.798 0.204
O9 0.711 0.296 0.295
O10 0.789 0.798 0.204
O11 0.000 0.425 0.019
O12 0.000 0.074 0.526
Sm1 0.500 0.488 0.550
Mn1 0.247 0.998 0.500
Mn2 0.753 0.998 0.500
Mn3 0.753 0.502 0.002
Mn4 0.247 0.502 0.002
Ca1 0.000 0.994 0.957
Ca2 0.500 0.007 0.046
Ca3 0.000 0.506 0.456